VASP calculation (meta-GGA r2SCAN) on a relaxed Mn7O12 crystal.

Values from the calculation:
Electronic total energy = -0.8259 Ry per atom
Formation energy from the elements = -2.0553 eV/atom
Symmetry = Im-3
ρ = 5.1 g/cm³
Total magnetic moment = 25.00 μB/cell

Geometry as POSCAR:
```
Mn7O12
1.0
-3.611 3.611 3.611
3.611 -3.611 3.611
3.611 3.611 -3.611
Mn O
7 12
Cartesian
1.806 1.806 -1.806
1.806 -1.806 1.806
3.611 0.000 0.000
-1.806 1.806 1.806
0.000 3.611 0.000
0.000 0.000 3.611
1.806 1.806 1.806
3.611 2.258 -1.344
2.268 0.000 1.354
4.955 0.000 1.354
1.354 2.268 0.000
2.258 -1.344 3.611
3.611 2.258 1.344
0.000 1.354 2.268
1.354 4.955 0.000
2.258 1.344 3.611
-1.344 3.611 2.258
1.344 3.611 2.258
0.000 1.354 4.955
```